1.
Below is an optimized crystal structure of Sr2Nd2MnCuO8, with properties calculated at the PBE with a Hubbard U level.

Computed properties:
As for the electronic total energy: -7.007 eV per atom. The calculation puts the corrected total energy (MP2020 scheme) at -7.52 eV per atom. Its formation energy is -2.822 eV/atom. The energy above the most stable polymorph in this dataset is 0.00 kcal/mol of atoms.

Cell: 3.8367 15.3254 6.9369 Å, 106.64 106.15 89.98°
Closest atoms and distances in Å follow each position.
Atoms (fractional coordinates):
1 O 0.4982 0.9945 0.9909  2 Cu 1.92
2 O 0.8376 0.4625 0.6843  1 Mn 2.00
3 O 0.8126 0.7194 0.6357  3 Nd 2.32-2.59, 1 Cu 2.32
4 O 0.0036 0.6288 0.0088  1 Cu 1.91, 1 Mn 1.93
5 O 0.0000 0.3750 0.9999  2 Mn 1.94
6 O 0.8416 0.1987 0.6801  1 Mn 2.05
7 O 0.0001 0.8750 0.0001  2 Cu 1.88-1.89
8 O 0.1649 0.7969 0.3575  1 Cu 2.28, 1 Nd 2.30
9 O 0.5037 0.5060 0.0099  2 Mn 1.92
10 O 0.1622 0.2875 0.3156  1 Mn 2.00
11 O 0.1873 0.0306 0.3642  1 Cu 2.32, 2 Nd 2.32-2.58
12 O 0.1584 0.5512 0.3199  1 Mn 2.05
13 O 0.8352 0.9531 0.6427  1 Cu 2.28, 1 Nd 2.31
14 O 0.9964 0.1212 0.9912  1 Cu 1.91, 1 Mn 1.93
15 O 0.5020 0.7556 0.0092  2 Cu 1.92
16 O 0.4960 0.2440 0.9900  2 Mn 1.92
17 Sr 0.6415 0.4098 0.2852  7 O 2.54-2.75
18 Sr 0.3549 0.5916 0.7113  7 O 2.49-2.73
19 Sr 0.3584 0.3402 0.7147  7 O 2.54-2.75
20 Sr 0.6449 0.1584 0.2886  7 O 2.50-2.73
21 Cu 0.9967 0.7518 0.9984  4 O 1.88-1.92
22 Cu 0.0033 0.9983 0.0017  4 O 1.89-1.92
23 Nd 0.3657 0.0859 0.7278  5 O 2.32-2.55
24 Nd 0.3517 0.8378 0.7196  3 O 2.30-2.58
25 Nd 0.6484 0.9121 0.2805  3 O 2.31-2.58
26 Nd 0.6343 0.6642 0.2722  5 O 2.32-2.55
27 Mn 0.9973 0.5014 0.9986  6 O 1.92-2.05
28 Mn 0.0028 0.2485 0.0014  6 O 1.92-2.05



2.
Below is an optimized crystal structure of Sr2Nd2MnCuO8, with properties calculated at the PBE with a Hubbard U level.

Computed properties:
As for the electronic total energy: -6.966 eV per atom. The calculation puts the corrected total energy (MP2020 scheme) at -7.48 eV per atom. Its formation energy is -2.781 eV/atom. The energy above the most stable polymorph in this dataset is 0.95 kcal/mol of atoms.

Cell: 3.8534 3.8534 12.6708 Å, 90.00 90.00 90.00°
Closest atoms and distances in Å follow each position.
Atoms (fractional coordinates):
1 O 0.0000 0.0000 0.8411  1 Cu 2.01
2 O 0.5000 0.0000 0.5000  2 Mn 1.93
3 O 0.5000 0.5000 0.3148  1 Nd 2.24, 1 Mn 2.35
4 O 0.5000 0.0000 0.0000  2 Cu 1.93
5 O 0.0000 0.0000 0.1589  1 Cu 2.01
6 O 0.5000 0.5000 0.6852  1 Nd 2.24, 1 Mn 2.35
7 O 0.0000 0.5000 0.5000  2 Mn 1.93
8 O 0.0000 0.5000 0.0000  2 Cu 1.93
9 Cu 0.0000 0.0000 0.0000  6 O 1.93-2.01
10 Nd 0.5000 0.5000 0.8619  1 O 2.24
11 Nd 0.5000 0.5000 0.1381  1 O 2.24
12 Sr 0.0000 0.0000 0.6439  9 O 2.50-2.77
13 Sr 0.0000 0.0000 0.3561  9 O 2.50-2.77
14 Mn 0.5000 0.5000 0.5000  4 O 1.93